Arrangement A

Compound: LiCrGe2O6
Source: the Materials Project database
Functional: PBE with a Hubbard U
Structure: relaxed

Computed properties:
Its calculated volume is 455.15 Å³/cell. Its symmetry is P2_1/c.

a = 8.8693 Å, b = 5.4374 Å, c = 9.6892 Å
α = 76.92°, β = 90.00°, γ = 90.00°
Sites, in units of the cell vectors:
Cr 0.8412 0.5387 0.7483
O 0.7915 0.9923 0.1169
O 0.6661 0.3165 0.8573
O 0.4955 0.7438 0.3685
Cr 0.6588 0.0387 0.7483
O 0.0045 0.2438 0.3685
O 0.1882 0.3408 0.6130
Ge 0.3444 0.7724 0.9533
O 0.8339 0.8165 0.8573
O 0.3118 0.8408 0.6130
O 0.5247 0.8278 0.8859
O 0.0247 0.6722 0.1141
O 0.9753 0.3278 0.8859
O 0.8118 0.6592 0.3870
O 0.3316 0.2409 0.3643
O 0.1661 0.1835 0.1427
O 0.6882 0.1592 0.3870
O 0.9955 0.7562 0.6315
O 0.8316 0.2591 0.6357
O 0.4753 0.1722 0.1141
Cr 0.3412 0.9613 0.2517
Ge 0.8444 0.7276 0.0467
Ge 0.3412 0.1737 0.5545
Cr 0.1588 0.4613 0.2517
Ge 0.6556 0.2276 0.0467
Ge 0.1588 0.6737 0.5545
O 0.2915 0.5077 0.8831
Li 0.9865 0.9634 0.2583
Li 0.4865 0.5366 0.7417
Li 0.5135 0.4634 0.2583
O 0.3339 0.6835 0.1427
O 0.5045 0.2562 0.6315
Ge 0.6588 0.8263 0.4455
O 0.6684 0.7591 0.6357
Ge 0.1556 0.2724 0.9533
Li 0.0135 0.0366 0.7417
O 0.1684 0.7409 0.3643
Ge 0.8412 0.3263 0.4455
O 0.2085 0.0077 0.8831
O 0.7085 0.4923 0.1169



Arrangement B

Compound: LiCrGe2O6
Source: the Materials Project database
Functional: PBE with a Hubbard U
Structure: relaxed

Computed properties:
Its calculated volume is 466.55 Å³/cell.

a = 5.5812 Å, b = 6.7383 Å, c = 13.0940 Å
α = 87.20°, β = 98.28°, γ = 74.06°
Sites, in units of the cell vectors:
Ge 0.8456 0.3856 0.5979
O 0.7440 0.6377 0.5403
Ge 0.9403 0.1961 0.1926
O 0.1175 0.3334 0.6951
Ge 0.5598 0.8035 0.3074
O 0.3652 0.1943 0.0071
O 0.6348 0.8057 0.9929
O 0.5211 0.0828 0.8189
O 0.9108 0.6097 0.8335
Ge 0.6544 0.6146 0.9021
O 0.0216 0.0819 0.3189
Li 0.1126 0.2759 0.8617
Cr 0.7061 0.0877 0.9562
O 0.2436 0.6376 0.0406
Li 0.8874 0.7241 0.1383
O 0.4557 0.0138 0.5974
O 0.5444 0.9862 0.4026
Cr 0.7936 0.9128 0.5436
Li 0.3875 0.7240 0.6384
O 0.2560 0.3623 0.4597
Ge 0.3455 0.3854 0.0979
O 0.3823 0.6666 0.8049
Cr 0.2064 0.0872 0.4564
Ge 0.0597 0.8039 0.8074
O 0.8652 0.1946 0.5069
O 0.8825 0.6667 0.3049
O 0.7564 0.3624 0.9595
O 0.4788 0.9172 0.1811
Ge 0.1544 0.6144 0.4021
O 0.9557 0.0137 0.0973
O 0.4108 0.6093 0.3334
Cr 0.2939 0.9123 0.0438
O 0.9784 0.9181 0.6811
O 0.6177 0.3334 0.1951
Li 0.6125 0.2760 0.3616
O 0.1348 0.8054 0.4931
O 0.5892 0.3907 0.6666
O 0.0892 0.3903 0.1665
Ge 0.4402 0.1965 0.6926
O 0.0443 0.9864 0.9027



Of them, arrangement B has the lowest stability.



Arrangement A

Compound: V2ZnO4
Source: the Materials Project database
Functional: PBE with a Hubbard U
Structure: relaxed

Computed properties:
Its calculated volume is 156.64 Å³/cell. Its symmetry is Imma.

a = 6.0193 Å, b = 6.0193 Å, c = 6.0193 Å
α = 119.25°, β = 118.58°, γ = 91.89°
Sites, in units of the cell vectors:
O 0.2547 0.7602 0.0055
O 0.2790 0.2462 0.0329
Zn 0.5000 0.5000 0.0000
V 0.5000 0.0000 0.0000
O 0.7210 0.7538 0.9671
V 0.0000 0.0000 0.0000
Zn 0.0000 0.5000 0.5000
V 0.5000 0.0000 0.5000
O 0.7133 0.2462 0.4671
O 0.2547 0.2493 0.4945
O 0.7453 0.2398 0.9945
V 0.5000 0.5000 0.5000
O 0.7453 0.7507 0.5055
O 0.2867 0.7538 0.5329



Arrangement B

Compound: V2ZnO4
Source: the Materials Project database
Functional: PBE with a Hubbard U
Structure: relaxed

Computed properties:
Its calculated volume is 474.48 Å³/cell. Its symmetry is P3m1.

a = 6.0684 Å, b = 6.0684 Å, c = 14.8778 Å
α = 90.00°, β = 90.00°, γ = 120.00°
Sites, in units of the cell vectors:
O 0.4918 0.5082 0.7556
O 0.8448 0.1552 0.9108
V 0.0023 0.5011 0.4999
O 0.6791 0.8395 0.0899
V 0.8327 0.6653 0.1674
O 0.1605 0.3209 0.0899
V 0.1647 0.3294 0.8334
O 0.8198 0.1802 0.4214
V 0.3347 0.1673 0.1674
Zn 0.0000 0.0000 0.9992
O 0.5150 0.0300 0.2479
O 0.3333 0.6667 0.4258
O 0.3604 0.1802 0.4214
O 0.3103 0.1552 0.9108
O 0.1777 0.3554 0.5749
V 0.4989 0.9977 0.4999
O 0.5150 0.4850 0.2479
Zn 0.3333 0.6667 0.6651
V 0.1647 0.8353 0.8334
O 0.8198 0.6396 0.4214
O 0.8448 0.6897 0.9108
O 0.6446 0.8223 0.5749
V 0.4989 0.5011 0.4999
O 0.9700 0.4850 0.2479
Zn 0.0000 0.0000 0.3765
O 0.1605 0.8395 0.0899
O 0.6667 0.3333 0.0948
O 0.1777 0.8223 0.5749
O 0.4918 0.9835 0.7556
V 0.8327 0.1673 0.1674
Zn 0.0000 0.0000 0.6198
O 0.0165 0.5082 0.7556
O 0.0000 0.0000 0.7597
V 0.6667 0.3333 0.3346
V 0.6706 0.8353 0.8334
O 0.3333 0.6667 0.9082
Zn 0.3333 0.6667 0.2931
V 0.6667 0.3333 0.7094
O 0.6667 0.3333 0.5780
Zn 0.6667 0.3333 0.9545
O 0.0000 0.0000 0.2383
V 0.3333 0.6667 0.0421



Of them, arrangement A has the lowest stability.



Arrangement A

Compound: Mo2H9C2NO7
Source: the Materials Project database
Functional: PBE with a Hubbard U
Structure: relaxed

Computed properties:
Its calculated volume is 921.19 Å³/cell. Its symmetry is C2/m.

a = 10.2243 Å, b = 10.2243 Å, c = 10.1752 Å
α = 101.75°, β = 101.75°, γ = 111.68°
Sites, in units of the cell vectors:
Mo 0.5136 0.7927 0.6214
H 0.0714 0.7791 0.4905
H 0.2209 0.9286 0.5095
Mo 0.4864 0.2073 0.3786
O 0.2137 0.4349 0.1865
Mo 0.4069 0.4069 0.6136
O 0.4349 0.2137 0.1865
H 0.4352 0.8910 0.1846
H 0.6992 0.3900 0.1600
H 0.9609 0.2991 0.0008
O 0.9566 0.9566 0.2780
H 0.1250 0.1250 0.8024
O 0.4531 0.6800 0.4175
H 0.8750 0.8750 0.1976
C 0.7845 0.4045 0.1073
O 0.2569 0.2569 0.9521
H 0.1573 0.8166 0.8489
H 0.2991 0.9609 0.0008
O 0.0434 0.0434 0.7220
H 0.8427 0.1834 0.1511
H 0.7791 0.0714 0.4905
C 0.2155 0.5955 0.8927
C 0.2671 0.8540 0.9237
H 0.0942 0.9455 0.5895
O 0.8651 0.8651 0.8599
H 0.6100 0.3008 0.8400
H 0.9780 0.9780 0.7637
C 0.1460 0.7329 0.0763
N 0.8898 0.1102 0.5000
H 0.8603 0.3478 0.8663
H 0.0545 0.9058 0.4105
H 0.7918 0.4889 0.0544
O 0.3296 0.0568 0.3693
N 0.7413 0.2587 0.0000
O 0.1349 0.1349 0.1401
O 0.4920 0.4920 0.2039
O 0.5651 0.7863 0.8135
O 0.1401 0.6194 0.3765
O 0.0568 0.3296 0.3693
C 0.4045 0.7845 0.1073
H 0.4889 0.7918 0.0544
H 0.5648 0.1090 0.8154
H 0.6522 0.1397 0.1337
O 0.7863 0.5651 0.8135
O 0.6704 0.9432 0.6307
O 0.3200 0.5469 0.5825
N 0.1102 0.8898 0.5000
H 0.1834 0.8427 0.1511
O 0.7419 0.7419 0.3828
O 0.8599 0.3806 0.6235
O 0.5080 0.5080 0.7961
H 0.1397 0.6522 0.1337
H 0.0391 0.7009 0.9992
Mo 0.7927 0.5136 0.6214
O 0.2581 0.2581 0.6172
C 0.5955 0.2155 0.8927
H 0.5111 0.2082 0.9456
O 0.9432 0.6704 0.6307
Mo 0.7159 0.7159 0.8677
H 0.3900 0.6992 0.1600
N 0.2587 0.7413 0.0000
Mo 0.5931 0.5931 0.3864
C 0.8540 0.2671 0.9237
Mo 0.2073 0.4864 0.3786
H 0.2082 0.5111 0.9456
H 0.1090 0.5648 0.8154
H 0.3008 0.6100 0.8400
O 0.6211 0.6211 0.6022
Mo 0.2841 0.2841 0.1323
H 0.9058 0.0545 0.4105
O 0.3789 0.3789 0.3978
O 0.3806 0.8599 0.6235
O 0.5469 0.3200 0.5825
H 0.9286 0.2209 0.5095
H 0.7009 0.0391 0.9992
O 0.7431 0.7431 0.0479
H 0.8166 0.1573 0.8489
O 0.6800 0.4531 0.4175
H 0.3478 0.8603 0.8663
H 0.9455 0.0942 0.5895
H 0.8910 0.4352 0.1846
H 0.0220 0.0220 0.2363
O 0.6194 0.1401 0.3765
C 0.7329 0.1460 0.0763



Arrangement B

Compound: Mo2H9C2NO7
Source: the Materials Project database
Functional: PBE with a Hubbard U
Structure: relaxed

Computed properties:
Its calculated volume is 1146.71 Å³/cell. Its symmetry is C2/m.

a = 11.2398 Å, b = 11.2398 Å, c = 10.8169 Å
α = 76.13°, β = 76.13°, γ = 111.82°
Sites, in units of the cell vectors:
H 0.8367 0.1928 0.8531
N 0.1534 0.8466 0.5000
N 0.8466 0.1534 0.5000
H 0.8691 0.8691 0.1649
H 0.9725 0.9321 0.8020
C 0.6030 0.2128 0.1034
H 0.4738 0.9941 0.4832
H 0.8497 0.3397 0.1211
O 0.5329 0.3288 0.4344
H 0.2880 0.6123 0.1536
O 0.4671 0.6712 0.5656
C 0.1561 0.7346 0.9297
O 0.8347 0.4003 0.3626
O 0.5106 0.5106 0.7764
H 0.4318 0.8892 0.8209
O 0.9986 0.9986 0.5573
H 0.2171 0.2171 0.1061
O 0.8450 0.8450 0.0901
H 0.1928 0.8367 0.8531
H 0.3397 0.8497 0.1211
O 0.1653 0.5997 0.6374
H 0.0059 0.5262 0.5168
H 0.5319 0.2105 0.0492
H 0.5682 0.1108 0.1791
N 0.7423 0.2577 0.0000
C 0.2654 0.8439 0.0703
H 0.7829 0.7829 0.8939
O 0.3277 0.0810 0.6669
C 0.8439 0.2654 0.0703
Mo 0.4043 0.4043 0.4075
Mo 0.5957 0.5957 0.5925
Mo 0.7754 0.5209 0.3686
O 0.1550 0.1550 0.9099
H 0.7120 0.3877 0.8464
H 0.0558 0.7021 0.0072
H 0.1309 0.1309 0.8351
H 0.9321 0.9725 0.8020
O 0.9190 0.6723 0.3331
C 0.7346 0.1561 0.9297
H 0.6603 0.1503 0.8789
O 0.6712 0.4671 0.5656
H 0.0275 0.0679 0.1980
O 0.2429 0.4429 0.8100
H 0.7895 0.4681 0.9508
Mo 0.2246 0.4791 0.6314
H 0.9941 0.4738 0.4832
N 0.2577 0.7423 0.0000
H 0.2105 0.5319 0.0492
O 0.0014 0.0014 0.4427
H 0.7021 0.0558 0.0072
O 0.7571 0.5571 0.1900
C 0.2128 0.6030 0.1034
O 0.7380 0.7380 0.5717
H 0.5262 0.0059 0.5168
O 0.3001 0.3001 0.0409
O 0.4429 0.2429 0.8100
C 0.3970 0.7872 0.8966
Mo 0.6762 0.6762 0.1467
H 0.4681 0.7895 0.9508
Mo 0.4791 0.2246 0.6314
O 0.0810 0.3277 0.6669
O 0.2620 0.2620 0.4283
H 0.3877 0.7120 0.8464
H 0.2979 0.9442 0.9928
O 0.4894 0.4894 0.2236
Mo 0.5209 0.7754 0.3686
O 0.4003 0.8347 0.3626
H 0.8892 0.4318 0.8209
H 0.1503 0.6603 0.8789
H 0.6123 0.2880 0.1536
H 0.1108 0.5682 0.1791
Mo 0.3238 0.3238 0.8533
O 0.5571 0.7571 0.1900
H 0.9442 0.2979 0.9928
O 0.6171 0.6171 0.3830
O 0.5997 0.1653 0.6374
H 0.1633 0.8072 0.1469
O 0.3829 0.3829 0.6170
O 0.6723 0.9190 0.3331
C 0.7872 0.3970 0.8966
H 0.8072 0.1633 0.1469
O 0.3288 0.5329 0.4344
O 0.6999 0.6999 0.9591
H 0.0679 0.0275 0.1980



Of them, arrangement B has the lowest stability.



Arrangement A

Compound: MgFe2H2O4
Source: the Materials Project database
Functional: PBE with a Hubbard U
Structure: relaxed

Computed properties:
Its calculated volume is 84.51 Å³/cell. Its symmetry is Cm.

a = 4.6526 Å, b = 6.0625 Å, c = 6.0625 Å
α = 149.72°, β = 101.02°, γ = 78.98°
Sites, in units of the cell vectors:
O 0.1969 0.3361 0.6639
Fe 0.2503 0.7161 0.2839
Fe 0.6755 0.3130 0.6870
O 0.7272 0.6967 0.3033
H 0.4108 0.0269 0.9731
O 0.7558 0.9490 0.0510
O 0.2173 0.0797 0.9203
H 0.9494 0.8937 0.1063
Mg 0.9545 0.5306 0.4694



Arrangement B

Compound: MgFe2H2O4
Source: the Materials Project database
Functional: PBE with a Hubbard U
Structure: relaxed

Computed properties:
Its calculated volume is 91.17 Å³/cell. Its symmetry is Amm2.

a = 6.3787 Å, b = 6.3787 Å, c = 4.4842 Å
α = 90.00°, β = 90.00°, γ = 29.98°
Sites, in units of the cell vectors:
Mg 0.4590 0.4590 0.7500
O 0.0505 0.0505 0.7500
O 0.6992 0.6992 0.2500
O 0.9524 0.9524 0.2500
H 0.0058 0.0058 0.0711
Fe 0.6945 0.6945 0.7500
H 0.0058 0.0058 0.4289
Fe 0.2864 0.2864 0.2500
O 0.3048 0.3048 0.7500



Of them, arrangement B has the lowest stability.